1.
! KUSi2O7 PBE optimized geometry; values from VASP
&SYSTEM
  ibrav = 0, nat = 44, ntyp = 4
/
ATOMIC_SPECIES
O 16.00 O.upf
U 238.03 U.upf
Si 28.09 Si.upf
K 39.10 K.upf
CELL_PARAMETERS angstrom
-4.8250 -2.0284 7.6374
-6.5574 -3.9657 -5.1960
3.9812 -7.3283 0.5688
ATOMIC_POSITIONS angstrom
O -3.7006 -6.6612 1.5051
O -2.6231 -1.2497 2.2590
O 1.3581 -6.1125 1.7473
O -0.3238 -7.4220 -2.1758
O 0.0000 0.0000 0.0000
O -3.0241 -8.1372 6.3337
O -2.1728 -8.2014 -0.4514
O 0.5424 -6.4533 4.2409
O -4.0251 -4.7917 -0.7161
O -2.2524 -3.8721 -2.4514
O -3.3761 -8.5308 3.7263
O -4.6621 -2.7114 -2.3013
O -6.4468 -5.9922 0.7669
O -2.5247 -8.5949 -3.0588
O -0.9544 -7.3303 2.2434
O -6.7203 -3.2828 4.7427
O -5.2285 -5.1211 3.4617
O -8.7594 -4.7445 0.1824
O 1.9906 -3.6642 0.2844
O -1.3862 -2.9034 3.9653
O -8.7594 -7.2100 1.2629
O -0.4942 -2.7028 1.4827
O -4.8765 -4.7275 6.0690
O -5.6912 -2.9971 1.2207
O -6.9070 -10.6197 1.5275
O -4.5945 -9.4019 1.0315
O -2.8067 -3.9206 1.9787
O -4.3771 -5.1853 -3.3234
U 0.9937 -1.8290 0.1420
U 2.9876 -5.4993 0.4269
U -4.6976 -4.8261 1.3627
U -2.7037 -8.4964 1.6476
Si -5.9658 -4.7176 4.8574
Si -7.9884 -6.1724 0.2712
Si -3.8688 -4.1258 -2.1948
Si -1.8462 -2.6710 2.3914
Si -3.5325 -9.1967 5.2051
Si -1.4355 -8.6049 -1.8472
Si 0.5872 -7.1501 2.7391
Si -5.5551 -10.6515 0.6188
K -2.4567 -5.7500 4.5396
K -6.4228 -8.0218 3.0296
K -4.9445 -7.5725 -1.5293
K -0.9784 -5.3007 -0.0194
! Crystal system   tetragonal
! DFT formation energy   -3.34 eV per atom
! Total moment   0.091 μB/atom

***

2.
! K3YSi3O10 PBE optimized geometry; values from VASP
&SYSTEM
  ibrav = 0, nat = 68, ntyp = 4
/
ATOMIC_SPECIES
O 16.00 O.upf
Si 28.09 Si.upf
K 39.10 K.upf
Y 88.91 Y.upf
CELL_PARAMETERS angstrom
5.9923 0.0000 0.0000
0.0000 13.0443 0.0000
0.0000 0.0000 13.3313
ATOMIC_POSITIONS angstrom
O 5.1503 4.8839 7.0112
O 2.5448 12.6366 1.6369
O 2.5974 4.5907 2.6814
O 3.3949 11.1128 10.6500
O 2.6405 9.7832 8.4912
O 2.5448 6.9298 1.6369
O 1.0891 4.9025 0.4847
O 0.8420 11.4061 6.3201
O 5.5935 8.4536 3.9843
O 3.3518 3.2611 4.8401
O 3.4474 0.4077 11.6944
O 4.9032 8.1418 12.8466
O 1.0441 9.7832 10.7390
O 0.4513 12.6366 8.3025
O 0.3988 4.5907 9.3470
O 4.0402 3.2611 9.2580
O 1.0891 1.6197 0.4847
O 5.5410 6.1145 5.0288
O 5.6366 3.2611 11.5058
O 5.1503 1.6382 7.0112
O 3.4474 6.1145 11.6944
O 1.9521 9.7832 4.0733
O 4.0852 11.4246 6.1809
O 3.8381 4.8839 0.3455
O 5.5935 11.1128 3.9843
O 4.9032 11.4246 12.8466
O 2.1542 11.4061 12.9858
O 0.3988 1.9315 9.3470
O 4.0852 8.1418 6.1809
O 2.5974 1.9315 2.6814
O 4.9482 3.2611 2.5923
O 5.5410 0.4077 5.0288
O 3.8381 1.6382 0.3455
O 2.1542 8.1604 12.9858
O 1.9071 4.9025 7.1504
O 0.3557 9.7832 1.8255
O 0.4513 6.9298 8.3025
O 1.9071 1.6197 7.1504
O 0.8420 8.1604 6.3201
O 3.3949 8.4536 10.6500
Si 5.4789 7.7140 5.4822
Si 0.5134 1.1918 7.8491
Si 2.4828 5.3303 1.1834
Si 2.4828 1.1918 1.1834
Si 3.5095 7.7140 12.1479
Si 3.4636 3.2611 3.2300
Si 3.5095 11.8525 12.1479
Si 0.4675 9.7832 3.4356
Si 2.5287 9.7832 10.1013
Si 5.5248 3.2611 9.8957
Si 5.4789 11.8525 5.4822
Si 0.5134 5.3303 7.8491
K 2.6780 3.2611 11.5613
K 0.4644 6.2280 11.5120
K 0.4644 0.2942 11.5120
K 3.3143 9.7832 1.7700
K 2.5317 6.2280 4.8463
K 2.5317 0.2942 4.8463
K 5.5279 12.7501 1.8194
K 5.6742 9.7832 8.4357
K 3.4606 12.7501 8.4850
K 5.5279 6.8163 1.8194
K 0.3181 3.2611 4.8956
K 3.4606 6.8163 8.4850
Y 3.4396 3.2611 7.0924
Y 5.5488 3.2611 0.4267
Y 2.5527 9.7832 6.2389
Y 0.4435 9.7832 12.9046
! Crystal system   orthorhombic
! DFT formation energy   -2.82 eV per atom
! Total moment   0.000 μB/atom

***

3.
! K2ZnSi4O10 PBE optimized geometry; values from VASP
&SYSTEM
  ibrav = 0, nat = 68, ntyp = 4
/
ATOMIC_SPECIES
O 16.00 O.upf
Si 28.09 Si.upf
K 39.10 K.upf
Zn 65.41 Zn.upf
CELL_PARAMETERS angstrom
7.1737 0.0000 0.0000
0.0000 10.2058 0.0000
0.0000 0.0000 14.2564
ATOMIC_POSITIONS angstrom
O 1.5504 6.6602 3.0074
O 0.7703 0.0499 11.5626
O 3.4268 1.7413 7.8676
O 1.4214 8.0642 5.3503
O 2.0365 3.5457 10.1356
O 2.8165 10.1559 4.4344
O 1.3853 0.0819 2.2558
O 0.1601 8.4646 0.7394
O 1.9409 7.8835 10.9322
O 2.2015 10.1239 9.3840
O 3.5174 6.4793 4.8022
O 5.6233 1.5572 4.1208
O 6.4034 5.1528 9.8221
O 4.1568 4.3461 0.1908
O 2.3586 4.7603 12.5698
O 5.5277 7.4253 3.3242
O 5.0082 7.2445 8.9061
O 4.3572 5.0530 2.6938
O 4.2362 4.7818 8.1946
O 5.7523 2.9613 1.7779
O 3.0169 9.4490 6.9374
O 1.2283 5.4455 5.4416
O 2.9375 9.8847 13.1900
O 1.6460 2.3223 3.8040
O 5.2328 2.7806 10.4524
O 5.7884 5.1848 4.8724
O 5.1372 8.6486 11.2490
O 7.1043 8.8294 9.4542
O 6.5243 5.4240 1.0664
O 0.0694 3.7265 11.9304
O 3.6563 1.3764 2.3260
O 2.1655 2.1416 12.4785
O 0.5700 0.7568 14.0656
O 4.9722 5.0210 12.0007
O 3.7469 6.8442 13.5170
O 0.6494 0.3211 6.0618
O 4.8151 9.8632 8.8148
O 5.9454 0.3426 1.6866
O 6.6037 5.8597 7.3190
O 7.0136 3.3617 6.3888
Si 5.4784 8.6218 9.6830
Si 5.2821 1.5841 2.5548
Si 0.2257 10.0192 1.1253
Si 1.8916 6.6870 4.5735
Si 5.2642 4.4910 1.4132
Si 5.9277 4.1128 11.0225
Si 5.4963 5.7148 8.5414
Si 3.3612 0.1866 8.2536
Si 4.8328 6.0930 3.8943
Si 1.6953 3.5188 11.7017
Si 6.9480 4.9163 6.0029
Si 2.3409 0.9901 3.2340
Si 1.9094 9.5939 5.7150
Si 1.2459 9.2157 10.3622
Si 3.8125 5.2895 13.1311
Si 1.6774 0.6119 12.8432
K 3.5063 8.4174 1.4169
K 3.6674 3.3145 5.7113
K 0.0805 1.7884 8.5451
K 7.0932 6.8913 12.8395
K 1.9274 6.1119 8.8288
K 5.5142 9.1968 5.4276
K 1.6595 4.0939 1.7006
K 5.2463 1.0090 12.5558
Zn 3.4552 8.2300 12.1674
Zn 3.7185 3.1271 9.2172
Zn 7.0421 7.0787 2.0890
Zn 0.1316 1.9758 5.0392
! Crystal system   orthorhombic
! DFT formation energy   -2.95 eV per atom